# 1
This record from the Materials Project describes a geometry-optimized CaSi2SnO6 structure. The functional is PBE.

The structure in POSCAR format:
```
CaSi2SnO6
1.0
5.538 0.000 0.000
0.000 20.441 0.000
0.000 0.000 9.677
Ca Si Sn O
8 16 8 48
Cartesian
0.692 2.564 1.381
0.692 7.657 6.220
2.077 12.785 1.381
2.077 17.877 6.220
3.461 2.564 3.457
3.461 7.657 8.296
4.846 12.785 3.457
4.846 17.877 8.296
0.032 15.071 6.399
0.032 15.591 1.561
1.294 0.269 8.110
1.294 9.952 3.271
1.475 10.490 8.110
1.475 20.172 3.271
2.737 4.850 6.399
2.737 5.371 1.561
2.801 15.071 8.117
2.801 15.591 3.278
4.063 0.269 6.406
4.063 9.952 1.568
4.244 10.490 6.406
4.244 20.172 1.568
5.506 4.850 8.117
5.506 5.371 3.278
0.699 2.517 5.247
0.699 7.704 0.409
2.070 12.738 5.247
2.070 17.924 0.409
3.468 2.517 9.269
3.468 7.704 4.430
4.839 12.738 9.269
4.839 17.924 4.430
0.065 13.949 1.402
0.065 16.713 6.241
0.156 14.187 5.053
0.156 16.475 0.214
0.165 10.884 7.131
0.165 19.778 2.292
1.305 11.599 3.401
1.305 19.063 8.240
1.313 11.336 9.473
1.313 19.326 4.635
1.375 14.690 7.334
1.375 15.972 2.496
1.394 4.470 7.334
1.394 5.751 2.496
1.456 1.115 9.473
1.456 9.105 4.635
1.464 1.378 3.401
1.464 8.842 8.240
2.604 0.663 7.131
2.604 9.558 2.292
2.613 3.966 5.053
2.613 6.254 0.214
2.704 3.728 1.402
2.704 6.493 6.241
2.834 13.949 3.437
2.834 16.713 8.275
2.925 14.187 9.463
2.925 16.475 4.625
2.935 10.884 7.385
2.935 19.778 2.546
4.074 11.599 1.437
4.074 19.063 6.276
4.082 11.336 5.043
4.082 19.326 0.204
4.144 14.690 7.181
4.144 15.972 2.343
4.163 4.470 7.181
4.163 5.751 2.343
4.226 1.115 5.043
4.226 9.105 0.204
4.234 1.378 1.437
4.234 8.842 6.276
5.373 0.663 7.385
5.373 9.558 2.546
5.382 3.966 9.463
5.382 6.254 4.625
5.473 3.728 3.437
5.473 6.493 8.275
```

Computed properties:
**Formation energy from the elements**: -2.955 eV/atom
**Excess energy over the best structure of this formula in the dataset**: 0.0 meV/atom


# 2
This record from the Materials Project describes a geometry-optimized CaSi2SnO6 structure. The functional is PBE.

The structure in POSCAR format:
```
CaSi2SnO6
1.0
5.354 -4.870 0.000
5.354 4.870 0.000
-1.327 0.000 5.260
Ca Si Sn O
2 4 2 12
Cartesian
4.359 3.131 3.945
5.023 -3.131 1.315
1.285 0.952 4.008
1.948 -0.952 1.378
7.433 0.952 3.882
8.097 -0.952 1.252
5.023 1.097 1.315
4.359 -1.097 3.945
3.738 2.761 1.803
1.871 0.134 0.043
1.207 -0.134 2.673
2.751 1.483 4.391
6.307 2.761 0.827
5.967 1.483 3.499
3.415 -1.483 1.761
3.075 -2.761 4.433
6.630 -1.483 0.869
8.175 0.134 2.587
7.511 -0.134 5.218
5.643 -2.761 3.458
```

Computed properties:
**Formation energy from the elements**: -2.921 eV/atom
**Excess energy over the best structure of this formula in the dataset**: 33.6 meV/atom


# 3
This record from the Materials Project describes a geometry-optimized Ca3Si3Sn2O12 structure. The functional is PBE.

The structure in POSCAR format:
```
Ca3Si3Sn2O12
1.0
-6.321 6.321 6.321
6.321 -6.321 6.321
6.321 6.321 -6.321
Ca Si Sn O
12 12 8 48
Cartesian
3.160 1.580 0.000
6.321 3.160 -1.580
1.580 0.000 3.160
7.901 0.000 3.160
0.000 3.160 1.580
3.160 -1.580 6.321
3.160 7.901 0.000
6.321 3.160 4.740
-1.580 6.321 3.160
4.740 6.321 3.160
0.000 3.160 7.901
3.160 4.740 6.321
9.481 1.580 0.000
6.321 -3.160 4.740
4.740 6.321 -3.160
4.740 0.000 3.160
3.160 4.740 0.000
6.321 3.160 1.580
0.000 3.160 4.740
3.160 1.580 6.321
1.580 6.321 3.160
1.580 0.000 9.481
0.000 9.481 1.580
-3.160 4.740 6.321
0.000 0.000 0.000
3.160 3.160 -3.160
3.160 -3.160 3.160
6.321 0.000 0.000
-3.160 3.160 3.160
0.000 6.321 0.000
0.000 0.000 6.321
3.160 3.160 3.160
2.081 -0.513 0.704
7.400 3.865 -3.674
8.402 0.513 0.704
7.400 -2.456 3.674
5.807 -0.704 2.081
9.994 -1.079 2.456
0.704 2.081 -0.513
8.777 2.647 -1.079
3.865 3.674 -1.079
5.616 2.081 0.513
-0.513 0.704 2.081
3.674 -1.079 3.865
5.807 5.616 -2.081
3.674 1.079 2.456
3.865 -3.674 7.400
5.616 -2.081 5.807
2.456 3.674 1.079
7.025 4.240 0.513
3.674 7.400 -2.456
5.807 0.704 4.240
2.081 5.807 -0.704
7.400 2.456 2.647
1.079 2.456 3.674
2.081 0.513 5.616
4.240 5.807 0.704
5.241 3.865 2.647
-1.079 3.865 3.674
4.240 0.513 7.025
0.513 5.616 2.081
2.647 -1.079 8.777
-0.704 2.081 5.807
3.865 2.647 5.241
0.704 8.402 0.513
2.456 9.994 -1.079
2.647 5.241 3.865
0.513 0.704 8.402
2.647 7.400 2.456
6.834 5.616 4.240
0.704 4.240 5.807
2.456 2.647 7.400
-2.456 3.674 7.400
5.616 4.240 6.834
-3.674 7.400 3.865
0.513 7.025 4.240
-1.079 8.777 2.647
-2.081 5.807 5.616
-1.079 2.456 9.994
4.240 6.834 5.616
```

Computed properties:
**Formation energy from the elements**: -2.921 eV/atom


# 4
This record from the Materials Project describes a geometry-optimized Ca3Si4Sn2O14 structure. The functional is PBE.

The structure in POSCAR format:
```
Ca3Si4Sn2O14
1.0
8.260 -3.764 0.000
8.260 3.764 0.000
-5.834 0.000 9.965
Ca Si Sn O
6 8 4 28
Cartesian
3.884 2.383 7.474
1.479 0.136 4.946
-1.438 -0.136 9.929
12.123 0.136 0.036
9.206 -0.136 5.018
6.801 -2.383 2.491
1.617 0.849 0.781
3.335 1.989 2.913
-1.300 -0.849 5.763
10.267 1.989 2.069
0.418 -1.989 7.896
11.986 0.849 4.201
7.350 -1.989 7.051
9.068 -0.849 9.184
6.801 1.471 2.491
8.260 0.000 0.000
5.343 0.000 4.982
3.884 -1.471 7.474
-0.591 2.036 8.701
0.451 1.806 6.207
-3.758 0.143 9.372
-1.578 0.254 7.000
-0.841 -0.143 4.389
1.339 -0.254 2.018
2.097 1.925 9.135
4.491 0.876 3.249
5.671 1.925 5.812
3.584 0.101 6.008
6.501 -0.101 1.026
8.359 2.036 6.246
3.368 -1.806 1.225
9.111 0.876 1.734
1.574 -0.876 8.231
7.317 1.806 8.740
2.326 -2.036 3.719
4.184 0.101 8.939
7.101 -0.101 3.957
5.014 -1.925 4.152
6.194 -0.876 6.716
8.588 -1.925 0.830
9.346 0.254 7.947
11.526 0.143 5.575
12.263 -0.254 2.964
14.443 -0.143 0.593
10.234 -1.806 3.758
11.276 -2.036 1.264
```

Computed properties:
**Formation energy from the elements**: -3.023 eV/atom
**Excess energy over the best structure of this formula in the dataset**: 0.0 meV/atom


# 5
This record from the Materials Project describes a geometry-optimized Ca2TiSi2SnO10 structure. The functional is PBE.

The structure in POSCAR format:
```
Ca2TiSi2SnO10
1.0
5.564 0.000 0.000
-1.504 5.363 0.000
-1.775 -2.323 6.604
Ca Ti Si Sn O
2 1 2 1 10
Cartesian
0.000 1.219 1.686
2.285 1.820 4.919
1.894 -1.162 3.302
-0.818 -0.047 4.930
3.103 3.087 1.674
2.782 0.000 0.000
-1.187 3.070 2.727
-0.753 -1.462 5.790
-1.202 1.161 5.987
0.597 0.222 4.106
1.774 -0.182 1.712
0.510 3.222 4.893
1.688 2.818 2.498
3.487 1.879 0.617
3.037 4.502 0.814
3.472 -0.031 3.878
```

Computed properties:
**Formation energy from the elements**: -3.204 eV/atom


# 6
This record from the Materials Project describes a geometry-optimized Ca4Ti3Si4SnO20 structure. The functional is PBE.

The structure in POSCAR format:
```
Ca4Ti3Si4SnO20
1.0
5.538 0.000 0.000
-1.499 5.336 0.000
-0.510 -0.710 13.109
Ca Ti Si Sn O
4 3 4 1 20
Cartesian
-0.245 0.822 4.925
2.013 1.452 1.693
1.515 3.174 11.416
3.774 3.804 8.183
0.144 3.815 3.307
2.514 -0.355 6.554
3.385 0.810 9.801
0.561 -0.304 11.436
0.709 1.923 8.181
2.819 2.703 4.928
2.967 4.930 1.673
-0.750 2.668 0.000
0.334 -0.134 2.504
-0.581 1.912 9.212
0.244 2.855 1.712
-0.550 3.827 12.496
0.822 0.514 7.319
0.503 1.104 12.299
0.364 3.176 7.159
0.076 4.779 4.930
1.829 -0.330 10.375
1.430 2.426 4.069
2.099 2.200 9.039
1.699 4.956 2.733
3.453 -0.153 8.179
3.164 1.450 5.950
3.025 3.521 0.809
2.706 4.112 5.790
4.078 0.799 0.613
3.285 1.771 11.396
4.109 2.714 3.897
3.194 4.759 10.605
```

Computed properties:
**Formation energy from the elements**: -3.339 eV/atom


# 7
This record from the Materials Project describes a geometry-optimized Ca4TiSi4Sn3O20 structure. The functional is PBE.

The structure in POSCAR format:
```
Ca4TiSi4Sn3O20
1.0
6.750 0.000 0.000
0.464 7.991 0.000
0.470 2.998 7.418
Ca Ti Si Sn O
4 1 4 3 20
Cartesian
0.947 0.986 1.559
2.843 4.552 2.127
4.840 6.436 5.292
6.736 10.003 5.860
0.232 3.995 0.000
1.424 7.213 4.142
3.322 9.253 7.005
4.361 1.736 0.414
6.259 3.775 3.276
2.150 4.264 5.570
3.610 1.499 3.709
5.533 6.725 1.849
0.720 6.902 2.675
0.557 3.647 1.998
1.403 5.277 7.114
2.239 10.474 6.693
2.119 8.690 3.875
2.562 7.806 7.253
2.532 6.017 4.442
2.875 3.315 3.984
3.247 1.883 1.634
3.586 6.563 1.034
4.097 4.426 6.384
4.436 9.105 5.784
4.808 7.673 3.434
5.151 4.972 2.977
5.121 3.182 0.165
5.564 2.299 3.543
5.444 0.515 0.726
6.280 5.711 0.304
7.126 7.341 5.420
6.963 4.087 4.743
```

Computed properties:
**Formation energy from the elements**: -3.070 eV/atom


# 8
This record from the Materials Project describes a geometry-optimized Ca2TiSiO6 structure. The functional is PBE.

The structure in POSCAR format:
```
Ca2TiSiO6
1.0
0.000 3.744 3.744
3.744 0.000 3.744
3.744 3.744 0.000
Ca Ti Si O
2 1 1 6
Cartesian
1.872 1.872 1.872
5.616 5.616 5.616
0.000 0.000 0.000
3.744 3.744 3.744
3.744 3.744 1.951
3.744 1.951 3.744
5.537 3.744 3.744
1.951 3.744 3.744
3.744 5.537 3.744
3.744 3.744 5.537
```

Computed properties:
**Formation energy from the elements**: -3.398 eV/atom


# 9
This record from the Materials Project describes a geometry-optimized Ca3Ti2Si4O14 structure. The functional is PBE.

The structure in POSCAR format:
```
Ca3Ti2Si4O14
1.0
8.648 -3.883 0.000
8.648 3.883 0.000
-5.596 0.000 8.415
Ca Ti Si O
6 4 8 28
Cartesian
4.451 2.720 6.311
2.191 0.283 4.507
4.988 -0.283 0.300
6.712 0.283 8.116
9.510 -0.283 3.908
7.249 -2.720 2.104
7.249 1.532 2.104
8.648 0.000 0.000
5.850 0.000 4.208
4.451 -1.532 6.311
4.481 2.671 2.983
0.858 2.251 7.107
10.018 2.671 1.225
8.045 2.251 5.515
3.656 -2.251 2.900
1.683 -2.671 7.190
10.843 -2.251 1.308
7.220 -2.671 5.432
3.778 2.125 1.557
1.682 2.234 5.721
5.977 3.157 2.628
8.521 3.157 1.580
2.378 0.061 0.769
-0.420 -0.061 4.976
4.372 1.610 4.229
1.344 1.314 8.355
4.530 1.610 8.394
7.220 2.234 6.901
5.850 0.231 2.278
7.558 1.314 4.268
10.720 2.125 2.650
3.052 -0.231 6.486
8.648 0.231 1.930
0.980 -2.125 5.765
4.142 -1.314 4.147
5.850 -0.231 6.137
4.480 -2.234 1.514
7.170 -1.610 0.022
10.356 -1.314 0.060
7.328 -1.610 4.186
12.120 0.061 3.439
9.322 -0.061 7.646
3.179 -3.157 6.836
5.723 -3.157 5.787
10.018 -2.234 2.694
7.922 -2.125 6.858
```

Computed properties:
**Formation energy from the elements**: -3.340 eV/atom